A geometry-optimized FeOF structure. Source: the Materials Project database, functional PBE+U.

Lattice parameters (Å, degrees): 3.113 4.922 14.514 89.95 90.00 90.00
Positions (direct):
Fe: 0.500 0.552 0.164
Fe: 0.500 0.483 0.851
Fe: 0.000 0.980 0.663
Fe: 0.000 0.973 0.994
Fe: 0.500 0.552 0.501
Fe: 0.000 0.968 0.332
O: 0.500 0.171 0.937
O: 0.500 0.815 0.062
O: 0.500 0.816 0.394
O: 0.000 0.661 0.899
O: 0.000 0.694 0.565
O: 0.000 0.714 0.225
F: 0.000 0.319 0.104
F: 0.500 0.214 0.267
F: 0.000 0.284 0.767
F: 0.500 0.205 0.601
F: 0.500 0.785 0.739
F: 0.000 0.312 0.435

Formation energy from the elements ... -45.8 kcal/mol of atoms
Volume ... 12.35 Å³ per atom
SG ... No. 6
VASP energy ... -0.438 Ry per atom